# La3AlNiS7

A geometry-optimized La3AlNiS7 structure (GGA-PBE, the Materials Project).

Values from the calculation:
mass density: 4.49 g cm⁻³
calculated total energy: -146.058 eV per cell
energy relative to the elements: -187 kJ/mol of atoms

Cell lengths 10.2614, 10.2614, 5.8949 Å; angles 90.00, 90.00, 120.00 degrees
Fractional coordinates of all 24 atoms:
La (0.7609, 0.1291, 0.2387)
La (0.3683, 0.2391, 0.2387)
La (0.8709, 0.6317, 0.2387)
La (0.2391, 0.8709, 0.7387)
La (0.6317, 0.7609, 0.7387)
La (0.1291, 0.3683, 0.7387)
Al (0.6667, 0.3333, 0.6566)
Al (0.3333, 0.6667, 0.1566)
Ni (0.0000, 0.0000, 0.9995)
Ni (0.0000, 0.0000, 0.4995)
S (0.8563, 0.0766, 0.7488)
S (0.2203, 0.1437, 0.7488)
S (0.9234, 0.7797, 0.7488)
S (0.1437, 0.9234, 0.2488)
S (0.7797, 0.8563, 0.2488)
S (0.0766, 0.2203, 0.2488)
S (0.8970, 0.4110, 0.5103)
S (0.5140, 0.1030, 0.5103)
S (0.5890, 0.4860, 0.5103)
S (0.1030, 0.5890, 0.0103)
S (0.4860, 0.8970, 0.0103)
S (0.4110, 0.5140, 0.0103)
S (0.6667, 0.3333, 0.0325)
S (0.3333, 0.6667, 0.5325)